LiCu2PO4: optimized geometry, PBE.

abc: 4.509 4.509 8.567
angles: 90.00 90.00 90.00
Fractional coordinates of all 16 atoms:
Li: 0.000 0.000 0.000
Li: 0.500 0.500 0.500
Cu: 0.000 0.000 0.500
Cu: 0.000 0.500 0.250
Cu: 0.500 0.000 0.750
Cu: 0.500 0.500 0.000
P: 0.000 0.500 0.750
P: 0.500 0.000 0.250
O: 0.184 0.712 0.856
O: 0.212 0.316 0.644
O: 0.288 0.184 0.144
O: 0.316 0.788 0.356
O: 0.684 0.212 0.356
O: 0.712 0.816 0.144
O: 0.788 0.684 0.644
O: 0.816 0.288 0.856

Properties
Energy of formation   -1842.6 meV per atom
Symmetry   I-4

---

Li2CuP2O7: optimized geometry, PBE.

abc: 5.309 6.271 8.890
angles: 110.29 91.83 105.50
Fractional coordinates of all 24 atoms:
Li: 0.081 0.263 0.013
Li: 0.328 0.716 0.753
Li: 0.672 0.284 0.247
Li: 0.919 0.737 0.987
Cu: 0.114 0.107 0.378
Cu: 0.886 0.893 0.622
P: 0.232 0.640 0.391
P: 0.408 0.803 0.115
P: 0.592 0.197 0.885
P: 0.768 0.360 0.609
O: 0.045 0.802 0.415
O: 0.059 0.379 0.330
O: 0.260 0.994 0.176
O: 0.264 0.623 0.950
O: 0.297 0.086 0.873
O: 0.372 0.651 0.234
O: 0.439 0.719 0.534
O: 0.561 0.281 0.466
O: 0.628 0.349 0.766
O: 0.703 0.914 0.127
O: 0.736 0.377 0.050
O: 0.740 0.006 0.824
O: 0.941 0.621 0.670
O: 0.955 0.198 0.585

Properties
Energy of formation   -2362.3 meV per atom
Symmetry   P-1

---

Li2CuPO4: optimized geometry, PBE.

abc: 5.337 4.905 6.878
angles: 90.00 92.21 90.00
Fractional coordinates of all 16 atoms:
Li: 0.087 0.000 0.324
Li: 0.201 0.529 0.012
Li: 0.799 0.029 0.988
Li: 0.913 0.500 0.676
Cu: 0.336 0.570 0.500
Cu: 0.664 0.070 0.500
P: 0.273 0.031 0.763
P: 0.727 0.531 0.237
O: 0.142 0.172 0.582
O: 0.157 0.140 0.949
O: 0.228 0.713 0.751
O: 0.437 0.587 0.234
O: 0.563 0.087 0.766
O: 0.772 0.213 0.249
O: 0.843 0.640 0.051
O: 0.858 0.672 0.418

Properties
Energy of formation   -2251.5 meV per atom
Symmetry   P2_1

---

LiCuP4Ru2O14: optimized geometry, PBE.

abc: 4.932 6.899 8.496
angles: 93.49 94.22 105.81
Fractional coordinates of all 22 atoms:
Li: 0.000 0.000 0.000
Cu: 0.144 0.260 0.728
P: 0.099 0.452 0.074
P: 0.107 0.783 0.637
P: 0.483 0.849 0.177
P: 0.714 0.384 0.533
Ru: 0.098 0.113 0.353
Ru: 0.607 0.620 0.855
O: 0.211 0.970 0.548
O: 0.255 0.964 0.180
O: 0.273 0.403 0.935
O: 0.326 0.613 0.196
O: 0.342 0.688 0.685
O: 0.485 0.325 0.396
O: 0.593 0.862 0.011
O: 0.617 0.373 0.701
O: 0.711 0.907 0.315
O: 0.872 0.551 0.022
O: 0.882 0.615 0.514
O: 0.933 0.256 0.525
O: 0.945 0.831 0.779
O: 0.988 0.258 0.154

Properties
Energy of formation   -2118.9 meV per atom
Symmetry   P1

---

LiCuP4Ru2O14: optimized geometry, PBE.

abc: 4.909 6.815 8.405
angles: 92.53 91.79 107.79
Fractional coordinates of all 22 atoms:
Li: 0.000 0.000 0.000
Cu: 0.580 0.467 0.446
P: 0.175 0.706 0.137
P: 0.534 0.812 0.668
P: 0.603 0.125 0.211
P: 0.956 0.226 0.741
Ru: 0.070 0.966 0.439
Ru: 0.567 0.468 0.937
O: 0.050 0.225 0.570
O: 0.086 0.704 0.310
O: 0.187 0.246 0.876
O: 0.304 0.906 0.620
O: 0.360 0.948 0.105
O: 0.366 0.569 0.116
O: 0.421 0.633 0.773
O: 0.448 0.182 0.357
O: 0.702 0.754 0.525
O: 0.712 0.299 0.101
O: 0.766 0.366 0.758
O: 0.768 0.988 0.779
O: 0.842 0.031 0.248
O: 0.939 0.693 0.007

Properties
Energy of formation   -2123.4 meV per atom
Symmetry   P1

---

LiCuP4Ru2O14: optimized geometry, PBE.

abc: 4.947 6.822 8.442
angles: 93.21 92.01 107.11
Fractional coordinates of all 22 atoms:
Li: 0.000 0.000 0.000
Cu: 0.523 0.800 0.660
P: 0.149 0.045 0.363
P: 0.508 0.142 0.900
P: 0.561 0.454 0.440
P: 0.935 0.551 0.980
Ru: 0.033 0.299 0.668
Ru: 0.533 0.795 0.176
O: 0.028 0.551 0.808
O: 0.042 0.044 0.532
O: 0.168 0.574 0.109
O: 0.252 0.210 0.849
O: 0.335 0.275 0.331
O: 0.338 0.902 0.353
O: 0.390 0.516 0.579
O: 0.394 0.971 0.011
O: 0.676 0.076 0.764
O: 0.677 0.628 0.335
O: 0.731 0.322 0.007
O: 0.758 0.703 0.996
O: 0.793 0.367 0.497
O: 0.918 0.011 0.228

Properties
Energy of formation   -2118.0 meV per atom
Symmetry   P1

---

Li2CuSbP2O8: optimized geometry, PBE.

abc: 4.799 6.557 10.663
angles: 90.00 92.89 90.00
Fractional coordinates of all 28 atoms:
Li: 0.000 0.000 0.000
Li: 0.000 0.500 0.000
Li: 0.500 0.000 0.500
Li: 0.500 0.500 0.500
Cu: 0.033 0.250 0.709
Cu: 0.967 0.750 0.291
Sb: 0.476 0.250 0.214
Sb: 0.524 0.750 0.786
P: 0.089 0.750 0.586
P: 0.409 0.750 0.084
P: 0.591 0.250 0.916
P: 0.911 0.250 0.414
O: 0.218 0.562 0.666
O: 0.218 0.938 0.666
O: 0.222 0.750 0.457
O: 0.231 0.250 0.424
O: 0.259 0.750 0.945
O: 0.273 0.250 0.922
O: 0.286 0.559 0.147
O: 0.286 0.941 0.147
O: 0.714 0.059 0.853
O: 0.714 0.441 0.853
O: 0.727 0.750 0.078
O: 0.741 0.250 0.055
O: 0.769 0.750 0.576
O: 0.778 0.250 0.543
O: 0.782 0.062 0.334
O: 0.782 0.438 0.334

Properties
Energy of formation   -2245.8 meV per atom
Symmetry   P2_1/m

---

Sr3Li3Cu3P4O16: optimized geometry, PBE.

abc: 9.245 4.874 18.390
angles: 90.00 114.57 90.00
Fractional coordinates of all 58 atoms:
Sr: 0.000 0.218 0.000
Sr: 0.000 0.782 0.500
Sr: 0.383 0.237 0.452
Sr: 0.383 0.763 0.952
Sr: 0.686 0.233 0.728
Sr: 0.686 0.767 0.228
Li: 0.398 0.255 0.125
Li: 0.398 0.745 0.625
Li: 0.647 0.324 0.935
Li: 0.647 0.676 0.435
Li: 0.973 0.239 0.321
Li: 0.973 0.761 0.821
Cu: 0.181 0.253 0.224
Cu: 0.181 0.747 0.724
Cu: 0.400 0.393 0.798
Cu: 0.400 0.607 0.298
Cu: 0.901 0.197 0.616
Cu: 0.901 0.803 0.116
P: 0.120 0.195 0.822
P: 0.120 0.805 0.322
P: 0.244 0.314 0.619
P: 0.244 0.686 0.119
P: 0.642 0.290 0.069
P: 0.642 0.710 0.569
P: 0.726 0.224 0.377
P: 0.726 0.776 0.877
O: 0.104 0.441 0.637
O: 0.104 0.559 0.137
O: 0.120 0.056 0.898
O: 0.120 0.944 0.398
O: 0.141 0.492 0.333
O: 0.141 0.508 0.833
O: 0.234 0.001 0.614
O: 0.234 0.999 0.114
O: 0.240 0.444 0.541
O: 0.240 0.556 0.041
O: 0.263 0.069 0.805
O: 0.263 0.931 0.305
O: 0.406 0.408 0.687
O: 0.406 0.592 0.187
O: 0.502 0.258 0.984
O: 0.502 0.742 0.484
O: 0.563 0.343 0.372
O: 0.563 0.657 0.872
O: 0.596 0.144 0.131
O: 0.596 0.856 0.631
O: 0.663 0.396 0.588
O: 0.663 0.604 0.088
O: 0.721 0.096 0.876
O: 0.721 0.904 0.376
O: 0.757 0.314 0.303
O: 0.757 0.686 0.803
O: 0.794 0.170 0.064
O: 0.794 0.830 0.564
O: 0.861 0.323 0.456
O: 0.861 0.677 0.956
O: 0.963 0.111 0.751
O: 0.963 0.889 0.251

Properties
Energy of formation   -2597.5 meV per atom
Symmetry   Pc